## SrNd10Se12Cl8O36 (PBE-GGA)

Data for crystalline SrNd10Se12Cl8O36 at its relaxed geometry.

Properties
Its energy relative to the lowest polymorph listed for this composition is 751.2 meV per atom.

a = 13.412 Å, b = 15.647 Å, c = 16.289 Å
α = 90.00°, β = 126.75°, γ = 90.00°
Space group Pc (No. 7)
One atom of each set of equivalent atoms:
Sr  0.000  0.102  0.000
Nd  0.314  0.117  0.862
Nd  0.333  0.389  0.660
Nd  0.610  0.266  0.668
Nd  0.626  0.000  0.148
Nd  0.635  0.428  0.902
Nd  0.645  0.254  0.418
Nd  0.647  0.090  0.915
Nd  0.654  0.491  0.164
Nd  0.656  0.253  0.130
Nd  0.965  0.390  0.173
Se  0.277  0.273  0.440
Se  0.345  0.229  0.107
Se  0.408  0.362  0.132
Se  0.414  0.162  0.449
Se  0.432  0.436  0.376
Se  0.438  0.048  0.252
Se  0.840  0.134  0.359
Se  0.847  0.060  0.580
Se  0.862  0.331  0.693
Se  0.862  0.444  0.461
Se  0.914  0.266  0.384
Se  0.983  0.204  0.803
Cl  0.045  0.249  0.123
Cl  0.136  0.496  0.689
Cl  0.152  0.429  0.458
Cl  0.153  0.002  0.204
Cl  0.156  0.063  0.933
Cl  0.165  0.182  0.453
Cl  0.174  0.277  0.861
Cl  0.264  0.240  0.707
O  0.419  0.469  0.812
O  0.435  0.019  0.986
O  0.435  0.040  0.817
O  0.439  0.089  0.048
O  0.484  0.400  0.616
O  0.487  0.370  0.327
O  0.492  0.129  0.340
O  0.498  0.134  0.578
O  0.500  0.370  0.090
O  0.500  0.465  0.691
O  0.504  0.250  0.468
O  0.524  0.308  0.781
O  0.526  0.183  0.956
O  0.570  0.463  0.491
O  0.576  0.017  0.270
O  0.627  0.207  0.266
O  0.630  0.130  0.042
O  0.645  0.154  0.782
O  0.649  0.328  0.810
O  0.653  0.373  0.044
O  0.663  0.294  0.282
O  0.703  0.030  0.549
O  0.730  0.475  0.341
O  0.740  0.267  0.600
O  0.758  0.319  0.060
O  0.761  0.175  0.876
O  0.780  0.115  0.230
O  0.780  0.370  0.737
O  0.798  0.372  0.496
O  0.808  0.146  0.502
O  0.813  0.134  0.738
O  0.838  0.068  0.804
O  0.850  0.022  0.007
O  0.852  0.399  0.245
O  0.852  0.480  0.199
O  0.855  0.462  0.019

***

## SrNd10Se12Cl8O36 (PBE-GGA)

Data for crystalline SrNd10Se12Cl8O36 at its relaxed geometry.

Properties
Its energy relative to the lowest polymorph listed for this composition is 0.0 meV per atom.

a = 18.161 Å, b = 15.909 Å, c = 16.032 Å
α = 90.00°, β = 90.07°, γ = 90.00°
Space group Cc (No. 9)
One atom of each set of equivalent atoms:
Sr  0.000  0.132  0.000
Nd  0.006  0.368  0.238
Nd  0.179  0.000  0.370
Nd  0.180  0.013  0.118
Nd  0.180  0.248  0.883
Nd  0.181  0.249  0.356
Nd  0.181  0.250  0.620
Nd  0.181  0.487  0.119
Nd  0.181  0.500  0.370
Nd  0.356  0.131  0.240
Nd  0.357  0.370  0.000
Se  0.056  0.372  0.470
Se  0.057  0.128  0.768
Se  0.059  0.101  0.497
Se  0.059  0.399  0.742
Se  0.070  0.139  0.231
Se  0.070  0.362  0.008
Se  0.293  0.360  0.230
Se  0.294  0.140  0.010
Se  0.303  0.400  0.497
Se  0.304  0.100  0.742
Se  0.306  0.128  0.470
Se  0.306  0.372  0.769
Cl  0.427  0.492  0.888
Cl  0.428  0.242  0.627
Cl  0.428  0.492  0.105
Cl  0.429  0.242  0.362
Cl  0.431  0.000  0.348
Cl  0.431  0.001  0.137
Cl  0.431  0.249  0.119
Cl  0.431  0.249  0.870
O  0.081  0.380  0.115
O  0.082  0.246  0.249
O  0.083  0.121  0.127
O  0.084  0.257  0.991
O  0.084  0.375  0.365
O  0.086  0.495  0.244
O  0.087  0.125  0.872
O  0.089  0.003  0.994
O  0.109  0.040  0.739
O  0.109  0.458  0.498
O  0.110  0.215  0.743
O  0.110  0.286  0.494
O  0.111  0.126  0.584
O  0.111  0.130  0.411
O  0.111  0.372  0.828
O  0.111  0.376  0.656
O  0.160  0.391  0.983
O  0.161  0.113  0.261
O  0.203  0.388  0.257
O  0.204  0.113  0.982
O  0.251  0.125  0.656
O  0.251  0.372  0.411
O  0.251  0.376  0.583
O  0.252  0.128  0.828
O  0.252  0.214  0.494
O  0.252  0.287  0.745
O  0.253  0.459  0.742
O  0.254  0.041  0.497
O  0.275  0.495  0.995
O  0.276  0.005  0.244
O  0.278  0.125  0.365
O  0.278  0.375  0.874
O  0.280  0.254  0.247
O  0.280  0.378  0.124
O  0.281  0.121  0.116
O  0.281  0.247  0.991

***

## Nd3TaCl3O6 (PBE-GGA)

Data for crystalline Nd3TaCl3O6 at its relaxed geometry.

a = 9.4951 Å, b = 9.4951 Å, c = 5.3229 Å
α = 90.00°, β = 90.00°, γ = 120.00°
Space group P6_3/m (No. 176)
One atom of each set of equivalent atoms:
Nd  0.0898  0.6861  0.2500
Ta  0.3333  0.6667  0.7500
Cl  0.0503  0.8099  0.7500
O  0.1570  0.5215  0.5121

***

## NdTe2ClO5 (PBE-GGA)

Data for crystalline NdTe2ClO5 at its relaxed geometry.

a = 3.933 Å, b = 3.933 Å, c = 8.704 Å
α = 90.00°, β = 90.00°, γ = 90.00°
Space group P4/mmm (No. 123)
One atom of each set of equivalent atoms:
Nd  0.000  0.000  0.000
Te  0.500  0.500  0.263
Cl  0.000  0.000  0.500
O  0.000  0.500  0.186
O  0.500  0.500  0.000

***

## Nd5Te2Cl3O10 (PBE-GGA)

Data for crystalline Nd5Te2Cl3O10 at its relaxed geometry.

a = 12.816 Å, b = 5.708 Å, c = 10.244 Å
α = 90.00°, β = 90.35°, γ = 90.00°
Space group C2/m (No. 12)
One atom of each set of equivalent atoms:
Nd  0.000  0.000  0.000
Nd  0.103  0.500  0.231
Nd  0.210  0.500  0.895
Te  0.084  0.000  0.672
Cl  0.000  0.500  0.500
Cl  0.163  0.000  0.351
O  0.051  0.243  0.796
O  0.146  0.253  0.058
O  0.224  0.000  0.718

***

## Rb2NdCl5 (PBE-GGA)

Data for crystalline Rb2NdCl5 at its relaxed geometry.

a = 13.626 Å, b = 8.920 Å, c = 8.361 Å
α = 90.00°, β = 90.00°, γ = 90.00°
Space group Pnma (No. 62)
One atom of each set of equivalent atoms:
Rb  0.174  0.000  0.034
Nd  0.003  0.250  0.571
Cl  0.012  0.250  0.906
Cl  0.080  0.539  0.652
Cl  0.163  0.250  0.366
Cl  0.194  0.750  0.333

***

## Rb3NdCl6 (PBE-GGA)

Data for crystalline Rb3NdCl6 at its relaxed geometry.

a = 11.705 Å, b = 11.705 Å, c = 11.705 Å
α = 90.00°, β = 90.00°, γ = 90.00°
Space group Fm-3m (No. 225)
One atom of each set of equivalent atoms:
Rb  0.000  0.000  0.000
Rb  0.250  0.250  0.250
Nd  0.000  0.000  0.500
Cl  0.000  0.000  0.267

***

Energy relative to the elements: -1.589 -2.340 -3.143 -2.002 -2.945 -2.554 -2.422 (eV per atom)